(1)
Density functional theory data (PBE) for a geometry-optimized Re3Pb3O10 structure.

Cell lengths 16.715, 16.715, 16.715 Å; angles 154.22, 154.22, 36.77 degrees
Positions (direct):
Re 0.000 0.000 0.000
Re 0.000 0.000 0.500
Re 0.000 0.500 0.000
Re 0.168 0.667 0.501
Re 0.333 0.334 0.501
Re 0.333 0.832 0.999
Re 0.334 0.333 0.001
Re 0.500 0.000 0.500
Re 0.666 0.667 0.999
Re 0.667 0.168 0.001
Re 0.667 0.666 0.499
Re 0.832 0.333 0.499
Pb 0.000 0.500 0.500
Pb 0.162 0.164 0.998
Pb 0.164 0.162 0.498
Pb 0.164 0.666 0.002
Pb 0.334 0.836 0.498
Pb 0.500 0.000 0.000
Pb 0.500 0.500 0.000
Pb 0.500 0.500 0.500
Pb 0.666 0.164 0.502
Pb 0.836 0.334 0.998
Pb 0.836 0.838 0.502
Pb 0.838 0.836 0.002
O 0.021 0.771 0.250
O 0.101 0.232 0.248
O 0.101 0.852 0.869
O 0.106 0.356 0.750
O 0.148 0.517 0.248
O 0.148 0.899 0.631
O 0.184 0.434 0.368
O 0.184 0.816 0.750
O 0.201 0.451 0.750
O 0.229 0.979 0.250
O 0.232 0.101 0.748
O 0.232 0.483 0.131
O 0.311 0.561 0.750
O 0.356 0.106 0.250
O 0.434 0.184 0.868
O 0.434 0.566 0.250
O 0.439 0.689 0.750
O 0.451 0.201 0.250
O 0.483 0.232 0.631
O 0.483 0.852 0.252
O 0.517 0.148 0.748
O 0.517 0.768 0.369
O 0.549 0.799 0.750
O 0.561 0.311 0.250
O 0.566 0.434 0.750
O 0.566 0.816 0.132
O 0.644 0.894 0.750
O 0.689 0.439 0.250
O 0.768 0.517 0.869
O 0.768 0.899 0.252
O 0.771 0.021 0.750
O 0.799 0.549 0.250
O 0.816 0.184 0.250
O 0.816 0.566 0.632
O 0.852 0.101 0.369
O 0.852 0.483 0.752
O 0.894 0.644 0.250
O 0.899 0.148 0.131
O 0.899 0.768 0.752
O 0.979 0.229 0.750

Calculated values
DFT formation energy (eV per atom): -1.76
Volume (Å³ per cell): 881.8



(2)
Density functional theory data (PBE) for a geometry-optimized Re3Pb3O10 structure.

Cell lengths 16.771, 16.771, 16.771 Å; angles 154.28, 154.28, 36.69 degrees
Positions (direct):
Re 0.082 0.332 0.250
Re 0.082 0.332 0.750
Re 0.082 0.832 0.750
Re 0.250 0.000 0.250
Re 0.413 0.163 0.750
Re 0.413 0.663 0.250
Re 0.413 0.663 0.750
Re 0.582 0.332 0.250
Re 0.750 0.000 0.250
Re 0.750 0.000 0.750
Re 0.750 0.500 0.750
Re 0.913 0.663 0.250
Pb 0.082 0.832 0.250
Pb 0.244 0.495 0.749
Pb 0.245 0.494 0.249
Pb 0.245 0.996 0.751
Pb 0.418 0.169 0.249
Pb 0.582 0.332 0.750
Pb 0.582 0.832 0.250
Pb 0.582 0.832 0.750
Pb 0.746 0.495 0.251
Pb 0.919 0.169 0.251
Pb 0.919 0.169 0.751
Pb 0.919 0.668 0.749
O 0.060 0.560 0.500
O 0.100 0.100 0.000
O 0.180 0.182 0.617
O 0.180 0.563 0.998
O 0.187 0.687 0.500
O 0.231 0.234 0.383
O 0.231 0.848 0.998
O 0.263 0.150 0.500
O 0.263 0.763 0.113
O 0.281 0.781 0.500
O 0.313 0.313 0.000
O 0.313 0.430 0.498
O 0.313 0.815 0.883
O 0.394 0.894 0.500
O 0.437 0.437 0.000
O 0.513 0.513 0.613
O 0.513 0.900 0.000
O 0.520 0.020 0.500
O 0.531 0.531 0.000
O 0.565 0.182 0.002
O 0.565 0.563 0.383
O 0.598 0.101 0.117
O 0.598 0.481 0.498
O 0.632 0.132 0.500
O 0.644 0.644 0.000
O 0.650 0.150 0.887
O 0.650 0.763 0.500
O 0.727 0.227 0.500
O 0.770 0.770 0.000
O 0.850 0.350 0.500
O 0.851 0.234 0.002
O 0.851 0.848 0.617
O 0.882 0.882 0.000
O 0.900 0.513 0.000
O 0.900 0.900 0.387
O 0.932 0.430 0.117
O 0.932 0.815 0.502
O 0.977 0.977 0.000
O 0.984 0.101 0.502
O 0.984 0.481 0.883

Calculated values
DFT formation energy (eV per atom): -1.76
Volume (Å³ per cell): 886.9



(3)
Density functional theory data (PBE) for a geometry-optimized Re8Pb8O27 structure.

Cell lengths 49.065, 49.065, 49.065 Å; angles 8.75, 8.75, 8.75 degrees
Positions (direct):
Re 0.000 0.000 0.000
Re 0.062 0.062 0.563
Re 0.062 0.563 0.062
Re 0.062 0.563 0.563
Re 0.125 0.125 0.125
Re 0.187 0.187 0.688
Re 0.187 0.688 0.187
Re 0.187 0.688 0.688
Re 0.250 0.250 0.250
Re 0.312 0.813 0.813
Re 0.313 0.313 0.812
Re 0.313 0.812 0.313
Re 0.375 0.375 0.375
Re 0.437 0.437 0.937
Re 0.437 0.937 0.437
Re 0.438 0.937 0.937
Re 0.500 0.500 0.500
Re 0.563 0.062 0.062
Re 0.563 0.062 0.563
Re 0.563 0.563 0.062
Re 0.625 0.625 0.625
Re 0.688 0.187 0.187
Re 0.688 0.187 0.688
Re 0.688 0.688 0.187
Re 0.750 0.750 0.750
Re 0.812 0.313 0.313
Re 0.813 0.312 0.813
Re 0.813 0.813 0.312
Re 0.875 0.875 0.875
Re 0.937 0.437 0.437
Re 0.937 0.438 0.937
Re 0.937 0.937 0.438
Pb 0.000 0.000 0.500
Pb 0.000 0.500 0.000
Pb 0.062 0.062 0.062
Pb 0.127 0.127 0.621
Pb 0.127 0.621 0.127
Pb 0.127 0.624 0.624
Pb 0.187 0.187 0.187
Pb 0.250 0.750 0.750
Pb 0.252 0.252 0.747
Pb 0.252 0.747 0.252
Pb 0.312 0.312 0.312
Pb 0.370 0.878 0.878
Pb 0.375 0.375 0.875
Pb 0.375 0.875 0.375
Pb 0.437 0.437 0.437
Pb 0.500 0.000 0.000
Pb 0.503 0.503 0.994
Pb 0.503 0.994 0.503
Pb 0.562 0.562 0.562
Pb 0.621 0.127 0.127
Pb 0.624 0.127 0.624
Pb 0.624 0.624 0.127
Pb 0.687 0.687 0.687
Pb 0.747 0.252 0.252
Pb 0.750 0.250 0.750
Pb 0.750 0.750 0.250
Pb 0.813 0.813 0.813
Pb 0.875 0.375 0.375
Pb 0.878 0.370 0.878
Pb 0.878 0.878 0.370
Pb 0.937 0.937 0.937
Pb 0.994 0.503 0.503
O 0.008 0.008 0.632
O 0.008 0.632 0.008
O 0.012 0.381 0.381
O 0.021 0.649 0.649
O 0.023 0.023 0.400
O 0.023 0.400 0.023
O 0.078 0.078 0.078
O 0.097 0.478 0.478
O 0.103 0.103 0.723
O 0.103 0.723 0.103
O 0.116 0.116 0.494
O 0.116 0.494 0.116
O 0.118 0.742 0.742
O 0.127 0.510 0.510
O 0.136 0.136 0.750
O 0.136 0.750 0.136
O 0.146 0.146 0.529
O 0.146 0.529 0.146
O 0.150 0.773 0.773
O 0.172 0.172 0.172
O 0.203 0.203 0.203
O 0.225 0.602 0.602
O 0.228 0.228 0.847
O 0.228 0.847 0.228
O 0.241 0.241 0.620
O 0.241 0.620 0.241
O 0.247 0.865 0.865
O 0.256 0.633 0.633
O 0.259 0.259 0.881
O 0.259 0.881 0.259
O 0.270 0.270 0.656
O 0.270 0.656 0.270
O 0.279 0.896 0.896
O 0.328 0.328 0.328
O 0.352 0.352 0.974
O 0.352 0.726 0.726
O 0.352 0.974 0.352
O 0.364 0.993 0.993
O 0.367 0.367 0.743
O 0.367 0.743 0.367
O 0.377 0.760 0.760
O 0.381 0.012 0.381
O 0.381 0.381 0.012
O 0.398 0.398 0.774
O 0.398 0.774 0.398
O 0.400 0.023 0.023
O 0.451 0.451 0.451
O 0.472 0.853 0.853
O 0.478 0.097 0.478
O 0.478 0.478 0.097
O 0.490 0.490 0.872
O 0.490 0.872 0.490
O 0.494 0.116 0.116
O 0.497 0.887 0.887
O 0.510 0.127 0.510
O 0.510 0.510 0.127
O 0.520 0.520 0.905
O 0.520 0.905 0.520
O 0.529 0.146 0.146
O 0.547 0.547 0.547
O 0.578 0.578 0.578
O 0.601 0.977 0.977
O 0.602 0.225 0.602
O 0.602 0.602 0.225
O 0.615 0.615 0.996
O 0.615 0.996 0.615
O 0.620 0.241 0.241
O 0.632 0.008 0.008
O 0.633 0.256 0.633
O 0.633 0.633 0.256
O 0.649 0.021 0.649
O 0.649 0.649 0.021
O 0.656 0.270 0.270
O 0.703 0.703 0.703
O 0.723 0.103 0.103
O 0.726 0.352 0.726
O 0.726 0.726 0.352
O 0.742 0.118 0.742
O 0.742 0.742 0.118
O 0.743 0.367 0.367
O 0.750 0.136 0.136
O 0.760 0.377 0.760
O 0.760 0.760 0.377
O 0.773 0.150 0.773
O 0.773 0.773 0.150
O 0.774 0.398 0.398
O 0.796 0.796 0.796
O 0.828 0.828 0.828
O 0.847 0.228 0.228
O 0.853 0.472 0.853
O 0.853 0.853 0.472
O 0.865 0.247 0.865
O 0.865 0.865 0.247
O 0.872 0.490 0.490
O 0.881 0.259 0.259
O 0.887 0.497 0.887
O 0.887 0.887 0.497
O 0.896 0.279 0.896
O 0.896 0.896 0.279
O 0.905 0.520 0.520
O 0.922 0.922 0.922
O 0.955 0.955 0.955
O 0.974 0.352 0.352
O 0.977 0.601 0.977
O 0.977 0.977 0.601
O 0.993 0.364 0.993
O 0.993 0.993 0.364
O 0.996 0.615 0.615

Calculated values
DFT formation energy (eV per atom): -1.75
Volume (Å³ per cell): 2372.0



(4)
Density functional theory data (PBE) for a geometry-optimized Re6Pb6O19 structure.

Cell lengths 9.430, 9.433, 9.428 Å; angles 90.00, 90.00, 90.00 degrees
Positions (direct):
Re 0.000 0.000 0.000
Re 0.000 0.000 0.261
Re 0.001 0.370 0.130
Re 0.131 0.001 0.630
Re 0.369 0.501 0.130
Re 0.499 0.870 0.630
Re 0.500 0.500 0.500
Re 0.500 0.500 0.761
Re 0.501 0.130 0.630
Re 0.631 0.499 0.130
Re 0.869 0.999 0.630
Re 0.999 0.630 0.130
Pb 0.145 0.644 0.482
Pb 0.148 0.354 0.773
Pb 0.240 0.741 0.870
Pb 0.260 0.241 0.370
Pb 0.352 0.854 0.273
Pb 0.355 0.144 0.982
Pb 0.645 0.856 0.982
Pb 0.648 0.146 0.273
Pb 0.740 0.759 0.370
Pb 0.760 0.259 0.870
Pb 0.852 0.646 0.773
Pb 0.855 0.356 0.482
O 0.000 0.500 0.300
O 0.000 0.500 0.629
O 0.000 0.500 0.959
O 0.001 0.829 0.631
O 0.002 0.213 0.983
O 0.003 0.214 0.278
O 0.147 0.000 0.417
O 0.149 0.997 0.844
O 0.171 0.000 0.131
O 0.214 0.353 0.129
O 0.214 0.649 0.127
O 0.286 0.149 0.627
O 0.286 0.853 0.629
O 0.329 0.500 0.631
O 0.351 0.497 0.344
O 0.353 0.500 0.917
O 0.497 0.714 0.778
O 0.498 0.713 0.483
O 0.499 0.329 0.131
O 0.500 0.000 0.129
O 0.500 0.000 0.459
O 0.500 0.000 0.800
O 0.501 0.671 0.131
O 0.502 0.287 0.483
O 0.503 0.286 0.778
O 0.647 0.500 0.917
O 0.649 0.503 0.344
O 0.671 0.500 0.631
O 0.714 0.147 0.629
O 0.714 0.851 0.627
O 0.786 0.351 0.127
O 0.786 0.647 0.129
O 0.829 0.000 0.131
O 0.851 0.003 0.844
O 0.853 0.000 0.417
O 0.997 0.786 0.278
O 0.998 0.787 0.983
O 0.999 0.171 0.631

Calculated values
DFT formation energy (eV per atom): -1.77
Volume (Å³ per cell): 838.7



Question: DFT formation energy of number 3 (Re8Pb8O27)?
Answer: -1.75 eV per atom



Repeat the first record exactly.
Density functional theory data (PBE) for a geometry-optimized Re3Pb3O10 structure.

Cell lengths 16.715, 16.715, 16.715 Å; angles 154.22, 154.22, 36.77 degrees
Positions (direct):
Re 0.000 0.000 0.000
Re 0.000 0.000 0.500
Re 0.000 0.500 0.000
Re 0.168 0.667 0.501
Re 0.333 0.334 0.501
Re 0.333 0.832 0.999
Re 0.334 0.333 0.001
Re 0.500 0.000 0.500
Re 0.666 0.667 0.999
Re 0.667 0.168 0.001
Re 0.667 0.666 0.499
Re 0.832 0.333 0.499
Pb 0.000 0.500 0.500
Pb 0.162 0.164 0.998
Pb 0.164 0.162 0.498
Pb 0.164 0.666 0.002
Pb 0.334 0.836 0.498
Pb 0.500 0.000 0.000
Pb 0.500 0.500 0.000
Pb 0.500 0.500 0.500
Pb 0.666 0.164 0.502
Pb 0.836 0.334 0.998
Pb 0.836 0.838 0.502
Pb 0.838 0.836 0.002
O 0.021 0.771 0.250
O 0.101 0.232 0.248
O 0.101 0.852 0.869
O 0.106 0.356 0.750
O 0.148 0.517 0.248
O 0.148 0.899 0.631
O 0.184 0.434 0.368
O 0.184 0.816 0.750
O 0.201 0.451 0.750
O 0.229 0.979 0.250
O 0.232 0.101 0.748
O 0.232 0.483 0.131
O 0.311 0.561 0.750
O 0.356 0.106 0.250
O 0.434 0.184 0.868
O 0.434 0.566 0.250
O 0.439 0.689 0.750
O 0.451 0.201 0.250
O 0.483 0.232 0.631
O 0.483 0.852 0.252
O 0.517 0.148 0.748
O 0.517 0.768 0.369
O 0.549 0.799 0.750
O 0.561 0.311 0.250
O 0.566 0.434 0.750
O 0.566 0.816 0.132
O 0.644 0.894 0.750
O 0.689 0.439 0.250
O 0.768 0.517 0.869
O 0.768 0.899 0.252
O 0.771 0.021 0.750
O 0.799 0.549 0.250
O 0.816 0.184 0.250
O 0.816 0.566 0.632
O 0.852 0.101 0.369
O 0.852 0.483 0.752
O 0.894 0.644 0.250
O 0.899 0.148 0.131
O 0.899 0.768 0.752
O 0.979 0.229 0.750

Calculated values
DFT formation energy (eV per atom): -1.76
Volume (Å³ per cell): 881.8